# 1
# GGA-PBE DyAu, relaxed
# **Formation energy from the elements**: -167 kJ/mol of formula units
data_DyAu
_space_group_name_H-M_alt 'P 1'
_space_group_IT_number 1
_space_group_name_Hall 'P 1'
_cell_length_a 3.607
_cell_length_b 3.607
_cell_length_c 3.607
_cell_angle_alpha 90.00
_cell_angle_beta 90.00
_cell_angle_gamma 90.00
loop_
_atom_site_label
_atom_site_type_symbol
_atom_site_fract_x
_atom_site_fract_y
_atom_site_fract_z
Dy1 Dy 0.500 0.500 0.500
Au1 Au 0.000 0.000 0.000

# 2
# GGA-PBE SrB2F8, relaxed
# **Formation energy from the elements**: -3766 kJ/mol of formula units
data_SrB2F8
_space_group_name_H-M_alt 'P 1'
_space_group_IT_number 1
_space_group_name_Hall 'P 1'
_cell_length_a 9.319
_cell_length_b 9.765
_cell_length_c 13.998
_cell_angle_alpha 90.00
_cell_angle_beta 90.00
_cell_angle_gamma 90.00
loop_
_atom_site_label
_atom_site_type_symbol
_atom_site_fract_x
_atom_site_fract_y
_atom_site_fract_z
Sr1 Sr 0.280 0.465 0.397
Sr2 Sr 0.780 0.535 0.103
Sr3 Sr 0.220 0.965 0.603
Sr4 Sr 0.720 0.035 0.897
Sr5 Sr 0.280 0.965 0.103
Sr6 Sr 0.780 0.035 0.397
Sr7 Sr 0.220 0.465 0.897
Sr8 Sr 0.720 0.535 0.603
B1 B 0.005 0.777 0.940
B2 B 0.495 0.777 0.440
B3 B 0.505 0.723 0.940
B4 B 0.817 0.897 0.657
B5 B 0.505 0.223 0.560
B6 B 0.317 0.603 0.657
B7 B 0.995 0.723 0.440
B8 B 0.317 0.103 0.843
B9 B 0.005 0.277 0.560
B10 B 0.183 0.603 0.157
B11 B 0.183 0.103 0.343
B12 B 0.683 0.897 0.157
B13 B 0.495 0.277 0.060
B14 B 0.995 0.223 0.060
B15 B 0.817 0.397 0.843
B16 B 0.683 0.397 0.343
F1 F 0.104 0.203 0.616
F2 F 0.908 0.182 0.517
F3 F 0.532 0.915 0.163
F4 F 0.592 0.182 0.017
F5 F 0.922 0.650 0.513
F6 F 0.253 0.513 0.221
F7 F 0.604 0.797 0.884
F8 F 0.078 0.350 0.487
F9 F 0.728 0.924 0.062
F10 F 0.104 0.703 0.884
F11 F 0.092 0.318 0.017
F12 F 0.896 0.297 0.116
F13 F 0.922 0.150 0.987
F14 F 0.408 0.818 0.983
F15 F 0.228 0.576 0.062
F16 F 0.422 0.350 0.987
F17 F 0.968 0.415 0.837
F18 F 0.220 0.740 0.181
F19 F 0.720 0.760 0.181
F20 F 0.720 0.260 0.319
F21 F 0.280 0.740 0.681
F22 F 0.747 0.487 0.779
F23 F 0.747 0.987 0.721
F24 F 0.032 0.585 0.163
F25 F 0.780 0.760 0.681
F26 F 0.408 0.318 0.517
F27 F 0.073 0.630 0.382
F28 F 0.220 0.240 0.319
F29 F 0.772 0.424 0.938
F30 F 0.280 0.240 0.819
F31 F 0.078 0.850 0.013
F32 F 0.927 0.370 0.618
F33 F 0.578 0.150 0.487
F34 F 0.422 0.850 0.513
F35 F 0.573 0.370 0.118
F36 F 0.896 0.797 0.384
F37 F 0.780 0.260 0.819
F38 F 0.092 0.818 0.483
F39 F 0.772 0.924 0.562
F40 F 0.427 0.130 0.618
F41 F 0.272 0.076 0.938
F42 F 0.578 0.650 0.013
F43 F 0.253 0.013 0.279
F44 F 0.468 0.585 0.663
F45 F 0.427 0.630 0.882
F46 F 0.396 0.703 0.384
F47 F 0.968 0.915 0.663
F48 F 0.927 0.870 0.882
F49 F 0.228 0.076 0.438
F50 F 0.753 0.987 0.221
F51 F 0.468 0.085 0.837
F52 F 0.396 0.203 0.116
F53 F 0.728 0.424 0.438
F54 F 0.592 0.682 0.483
F55 F 0.532 0.415 0.337
F56 F 0.073 0.130 0.118
F57 F 0.032 0.085 0.337
F58 F 0.573 0.870 0.382
F59 F 0.272 0.576 0.562
F60 F 0.753 0.487 0.279
F61 F 0.247 0.013 0.779
F62 F 0.604 0.297 0.616
F63 F 0.908 0.682 0.983
F64 F 0.247 0.513 0.721

# 3
# GGA-PBE LaF3, relaxed
# **Formation energy from the elements**: -1677 kJ/mol of formula units
# **Total moment**: 0.000 μB/cell
data_LaF3
_space_group_name_H-M_alt 'P 1'
_space_group_IT_number 1
_space_group_name_Hall 'P 1'
_cell_length_a 7.261
_cell_length_b 7.261
_cell_length_c 7.165
_cell_angle_alpha 90.00
_cell_angle_beta 90.00
_cell_angle_gamma 120.00
loop_
_atom_site_label
_atom_site_type_symbol
_atom_site_fract_x
_atom_site_fract_y
_atom_site_fract_z
La1 La 0.671 0.671 0.250
La2 La 0.000 0.671 0.750
La3 La 0.671 0.000 0.750
La4 La 0.329 0.000 0.250
La5 La 0.000 0.329 0.250
La6 La 0.329 0.329 0.750
F1 F 0.000 0.000 0.500
F2 F 0.000 0.000 0.000
F3 F 0.333 0.667 0.250
F4 F 0.667 0.333 0.750
F5 F 0.667 0.333 0.250
F6 F 0.333 0.667 0.750
F7 F 0.344 0.000 0.917
F8 F 0.344 0.344 0.417
F9 F 0.000 0.656 0.417
F10 F 0.000 0.344 0.917
F11 F 0.656 0.656 0.917
F12 F 0.344 0.000 0.583
F13 F 0.656 0.656 0.583
F14 F 0.656 0.000 0.417
F15 F 0.000 0.344 0.583
F16 F 0.000 0.656 0.083
F17 F 0.656 0.000 0.083
F18 F 0.344 0.344 0.083

Question: Among the records above, which one has the highest formation energy from the elements?
Answer: DyAu

Question: Which formula does entry 1 have?
Answer: DyAu